The following is a DFT calculation (PBE) of a geometry-optimized Eu2MgS4 structure.

POSCAR file:
```
Eu2MgS4
1.0
-0.348 6.770 -4.750
1.885 -4.564 -6.643
-8.661 -1.464 -1.452
S Eu Mg
16 8 4
Cartesian
-0.623 4.326 -3.880 S
-1.492 2.184 -10.180 S
-4.300 -3.901 -8.124 S
-1.086 2.498 -6.451 S
-0.680 -0.851 -5.496 S
-3.836 -2.073 -5.552 S
-6.591 0.349 -5.210 S
-2.327 -0.884 -2.111 S
1.134 -2.294 -7.686 S
-4.312 2.641 -7.465 S
-7.152 1.720 -10.427 S
-7.606 -2.269 -3.699 S
-5.888 -0.513 -8.534 S
-3.590 1.349 -4.004 S
-6.127 4.084 -5.276 S
-2.507 -0.434 -8.669 S
-4.301 1.541 -10.015 Eu
0.112 0.669 -8.164 Eu
-6.474 -2.471 -6.654 Eu
-1.697 -2.821 -7.501 Eu
-7.144 2.115 -7.281 Eu
-4.987 -1.166 -3.193 Eu
-3.261 3.928 -4.981 Eu
-0.739 1.170 -3.593 Eu
-1.222 -2.648 -3.685 Mg
0.000 0.000 0.000 Mg
-3.562 0.371 -6.423 Mg
-6.669 2.287 -3.464 Mg
```

## Properties
**M_tot**: 12.00 μB per formula unit
**Formation energy**: -1.773 eV per atom
**Volume**: 610 Å³/cell
**Energy relative to the lowest polymorph listed for this composition**: 0.61 kcal/mol of atoms

The following is a DFT calculation (PBE) of a geometry-optimized Na5LiN2 structure.

POSCAR file:
```
Na5LiN2
1.0
-3.110 -2.308 2.191
2.664 -0.291 3.475
-2.865 6.540 2.824
Na Li N
5 1 2
Cartesian
-3.222 3.183 3.298 Na
0.060 5.171 5.533 Na
-0.261 1.078 0.766 Na
-0.223 -1.299 2.833 Na
-0.089 0.758 5.192 Na
-0.100 3.125 3.150 Li
-1.432 3.270 1.412 N
-1.555 -1.154 1.095 N
```

## Properties
**M_tot**: 0.00 μB per formula unit
**Crystal system**: monoclinic
**Formation energy**: 0.117 eV per atom
**Volume**: 150 Å³/cell
**Energy relative to the lowest polymorph listed for this composition**: 0.53 kcal/mol of atoms

The following is a DFT calculation (PBE) of a geometry-optimized Ca2B5H3O11 structure.

POSCAR file:
```
Ca2B5H3O11
1.0
5.244 -0.171 3.625
-0.863 5.115 -3.709
-7.982 2.799 8.317
O B Ca H
22 10 4 6
Cartesian
-5.596 3.953 7.867 O
-3.812 7.047 7.831 O
1.544 4.038 3.112 O
-6.002 4.469 5.476 O
-2.800 5.245 4.275 O
-0.192 5.338 0.600 O
-1.270 0.507 1.323 O
-0.650 6.104 4.784 O
-4.149 6.885 5.445 O
4.022 1.349 2.737 O
-3.040 2.326 5.092 O
-3.099 3.913 1.875 O
-4.721 6.113 3.241 O
1.140 0.743 1.980 O
-2.301 5.817 6.585 O
-2.003 2.538 7.282 O
-0.630 1.907 3.158 O
1.817 4.453 -0.532 O
-0.307 3.632 -1.167 O
0.030 2.526 0.931 O
-1.198 3.909 5.470 O
-0.710 1.598 5.553 O
-0.203 1.342 1.835 B
0.430 4.877 -0.665 B
-1.789 5.232 5.322 B
-4.829 6.597 1.956 B
-0.485 2.551 -0.346 B
-3.558 6.504 4.118 B
-3.454 6.576 6.593 B
-1.795 2.634 5.847 B
-0.220 1.276 4.312 B
3.880 0.091 3.519 B
2.617 2.917 1.339 Ca
-0.778 4.282 2.802 Ca
-6.530 6.739 5.131 Ca
-4.790 3.506 3.700 Ca
1.979 4.881 2.864 H
-1.547 3.761 8.876 H
-5.722 4.184 6.794 H
-6.517 3.971 8.193 H
-3.221 4.832 2.185 H
1.883 3.820 4.429 H
```

## Properties
**M_tot**: 0.00 μB per formula unit
**Crystal system**: monoclinic
**Formation energy**: -2.683 eV per atom
**Volume**: 410 Å³/cell

The following is a DFT calculation (PBE) of a geometry-optimized CoSi structure.

POSCAR file:
```
CoSi
1.0
4.433 0.000 0.000
0.000 4.433 0.000
0.000 0.000 4.433
Si Co
4 4
Cartesian
0.695 1.521 2.912 Si
3.738 3.738 3.738 Si
2.912 0.695 1.521 Si
1.521 2.912 0.695 Si
0.643 0.643 0.643 Co
3.790 2.860 1.573 Co
1.573 3.790 2.860 Co
2.860 1.573 3.790 Co
```

## Properties
**Crystal system**: cubic
**Formation energy**: -0.580 eV per atom
**Volume**: 87 Å³/cell

The following is a DFT calculation (PBE) of a geometry-optimized MgTi2O5 structure.

POSCAR file:
```
MgTi2O5
1.0
-0.611 -0.951 3.233
1.037 -4.604 -1.158
11.426 1.891 2.714
O Ti Mg
10 4 2
Cartesian
5.995 -2.139 2.317 O
8.312 -1.313 1.184 O
4.204 0.001 2.609 O
11.142 -2.663 1.321 O
6.728 0.419 3.208 O
4.282 -1.980 0.226 O
0.449 -1.995 -0.502 O
9.559 -0.931 3.346 O
2.241 -4.136 -0.793 O
2.163 -2.155 1.589 O
2.308 -2.473 -0.292 Ti
7.513 -1.102 2.909 Ti
10.358 -1.141 1.621 Ti
4.137 -1.661 2.107 Ti
6.608 -3.028 0.357 Mg
-0.163 -1.106 1.458 Mg
```

## Properties
**M_tot**: 0.00 μB per formula unit
**Crystal system**: orthorhombic
**Formation energy**: -3.284 eV per atom
**Volume**: 198 Å³/cell
**Energy relative to the lowest polymorph listed for this composition**: 3.27 kcal/mol of atoms

The following is a DFT calculation (PBE) of a geometry-optimized Sr3Cu3P4O16 structure.

POSCAR file:
```
Sr3Cu3P4O16
1.0
-3.603 -8.807 0.109
-1.829 -8.052 4.730
-16.121 -1.624 6.452
O Cu Sr P
32 6 6 8
Cartesian
-16.337 -10.651 7.180 O
-5.925 -11.111 2.539 O
-2.162 -4.813 2.005 O
-5.522 -12.741 4.483 O
-16.030 -5.742 6.808 O
-4.169 -3.861 3.210 O
-12.870 -4.945 4.768 O
-7.785 -4.851 4.063 O
-12.972 -11.492 8.406 O
-13.768 -13.632 7.228 O
-11.875 -9.001 8.152 O
-18.346 -9.069 7.472 O
-9.678 -9.482 3.139 O
-8.683 -13.538 6.523 O
-5.203 -8.781 1.307 O
-19.391 -13.670 9.286 O
-12.029 -8.054 4.420 O
-11.954 -10.518 5.256 O
-15.628 -7.372 8.752 O
-7.734 -9.608 5.368 O
-2.980 -6.822 3.770 O
-17.383 -14.622 8.082 O
-8.581 -6.991 2.885 O
-3.207 -9.414 3.819 O
-9.524 -10.429 6.871 O
-9.599 -7.965 6.036 O
-16.350 -9.702 9.984 O
-13.819 -8.875 5.924 O
-18.573 -11.661 7.521 O
-11.076 -12.750 6.723 O
-10.477 -5.733 4.569 O
-5.216 -7.832 4.111 O
-8.975 -4.838 5.591 Cu
-10.165 -7.676 3.872 Cu
-17.386 -8.131 9.284 Cu
-1.801 -4.404 0.055 Cu
-4.167 -10.352 2.007 Cu
-11.388 -10.806 7.419 Cu
-14.430 -9.487 8.239 Sr
-7.122 -8.996 3.052 Sr
-4.444 -6.239 1.668 Sr
-11.814 -6.756 6.695 Sr
-9.739 -11.727 4.597 Sr
-17.108 -12.244 9.623 Sr
-3.726 -8.082 4.368 P
-12.844 -9.344 4.838 P
-8.709 -9.139 6.453 P
-8.085 -5.536 2.692 P
-15.285 -5.982 8.159 P
-13.468 -12.947 8.599 P
-6.267 -12.501 3.132 P
-17.827 -10.401 6.923 P
```

## Properties
**M_tot**: 0.99 μB per formula unit
**Crystal system**: monoclinic
**Formation energy**: -2.630 eV per atom
**Volume**: 713 Å³/cell

The following is a DFT calculation (PBE) of a geometry-optimized LiAlSiH2O5 structure.

POSCAR file:
```
LiAlSiH2O5
1.0
5.425 0.000 0.000
0.000 7.332 0.000
0.000 0.000 12.205
Al O Si H Li
4 20 4 8 4
Cartesian
0.517 0.876 2.357 Al
3.229 4.542 3.746 Al
3.229 6.456 9.848 Al
0.517 2.790 8.459 Al
3.221 6.357 4.038 O
0.508 0.976 8.167 O
4.707 7.156 10.383 O
4.595 7.268 1.825 O
3.221 4.642 10.140 O
1.994 0.176 1.822 O
3.540 1.027 6.553 O
3.540 2.639 0.450 O
4.707 3.843 4.280 O
0.354 1.322 4.111 O
4.595 3.730 7.928 O
0.827 4.693 11.755 O
0.354 2.344 10.213 O
1.883 0.064 10.380 O
0.827 6.306 5.652 O
3.067 6.010 8.094 O
1.994 3.490 7.925 O
0.508 2.690 2.065 O
3.067 4.988 1.992 O
1.883 3.602 4.277 O
0.504 0.727 9.851 Si
3.217 6.605 2.354 Si
3.217 4.393 8.457 Si
0.504 2.939 3.748 Si
1.551 4.649 11.074 H
4.264 0.983 7.233 H
1.551 6.349 4.972 H
3.318 1.688 0.376 H
3.318 1.978 6.478 H
4.264 2.683 1.131 H
0.605 5.644 11.829 H
0.605 5.354 5.726 H
4.596 3.556 11.171 Li
1.884 3.776 1.034 Li
1.884 7.222 7.136 Li
4.596 0.110 5.069 Li
```

## Properties
**M_tot**: 0.00 μB per formula unit
**Crystal system**: orthorhombic
**Formation energy**: -2.530 eV per atom
**Volume**: 485 Å³/cell
**Energy relative to the lowest polymorph listed for this composition**: 2.05 kcal/mol of atoms

The following is a DFT calculation (PBE) of a geometry-optimized H6PbCNCl3 structure.

POSCAR file:
```
H6PbCNCl3
1.0
5.765 0.000 0.000
0.000 5.753 0.000
0.000 0.003 5.855
N Cl H C Pb
1 3 6 1 1
Cartesian
2.882 4.919 0.238 N
0.000 3.294 5.712 Cl
2.882 3.285 3.045 Cl
0.000 0.163 2.574 Cl
2.882 4.770 1.267 H
1.983 1.074 0.277 H
3.781 1.074 0.277 H
2.882 0.695 4.628 H
2.043 4.434 5.730 H
3.722 4.434 5.730 H
2.882 0.611 5.720 C
0.000 3.027 2.833 Pb
```

## Properties
**M_tot**: 0.00 μB per formula unit
**Crystal system**: monoclinic
**Formation energy**: -0.761 eV per atom
**Volume**: 194 Å³/cell
**Energy relative to the lowest polymorph listed for this composition**: 0.00 kcal/mol of atoms
**Maximum piezoelectric response**: 0.78 C/m²